(1)
Below is a geometry-optimized PPbO3 structure, with properties calculated at the GGA-PBE level.

Lattice parameters (Å, degrees): 9.1899 9.1899 8.1958 90.00 90.00 103.89
Element x y z (fractional)
P1 0.2034 0.7966 0.5000
P2 0.2112 0.2735 0.8560
P3 0.2735 0.2112 0.3560
P4 0.2974 0.7026 0.9602
P5 0.7026 0.2974 0.4602
P6 0.7265 0.7888 0.8560
P7 0.7888 0.7265 0.3560
P8 0.7966 0.2034 0.0000
Pb1 0.0514 0.4948 0.2617
Pb2 0.0771 0.9229 0.0835
Pb3 0.4616 0.5384 0.5908
Pb4 0.4948 0.0514 0.7617
Pb5 0.5052 0.9486 0.2617
Pb6 0.5384 0.4616 0.0908
Pb7 0.9229 0.0771 0.5835
Pb8 0.9486 0.5052 0.7617
O1 0.1009 0.1735 0.3369
O2 0.1229 0.6528 0.9770
O3 0.1236 0.3472 0.7306
O4 0.1374 0.6332 0.5587
O5 0.1735 0.1009 0.8369
O6 0.1992 0.8008 0.3102
O7 0.3472 0.1236 0.2306
O8 0.3472 0.3830 0.3461
O9 0.3472 0.8771 0.9770
O10 0.3668 0.8626 0.5587
O11 0.3757 0.6243 0.0881
O12 0.3830 0.3472 0.8461
O13 0.6170 0.6528 0.3461
O14 0.6243 0.3757 0.5881
O15 0.6332 0.1374 0.0587
O16 0.6528 0.1229 0.4770
O17 0.6528 0.6170 0.8461
O18 0.6528 0.8764 0.7306
O19 0.8008 0.1992 0.8102
O20 0.8265 0.8991 0.3369
O21 0.8626 0.3668 0.0587
O22 0.8764 0.6528 0.2306
O23 0.8771 0.3472 0.4770
O24 0.8991 0.8265 0.8369

Results
E_form   -1969 meV/atom
SG   No. 36
V   16.8 Å³ per atom
M_tot   1.0 μB/f.u.

***

(2)
Below is a geometry-optimized P2Pb4O9 structure, with properties calculated at the GGA-PBE level.

Lattice parameters (Å, degrees): 9.6732 7.3200 14.8332 90.00 104.15 90.00
Element x y z (fractional)
P1 0.0322 0.2077 0.4054
P2 0.0322 0.2923 0.9054
P3 0.3728 0.7356 0.8143
P4 0.3728 0.7644 0.3143
P5 0.6272 0.2356 0.6857
P6 0.6272 0.2644 0.1857
P7 0.9678 0.7077 0.0946
P8 0.9678 0.7923 0.5946
Pb1 0.0400 0.7076 0.3490
Pb2 0.0400 0.7924 0.8490
Pb3 0.2792 0.0163 0.6148
Pb4 0.2792 0.4837 0.1148
Pb5 0.3109 0.0040 0.0890
Pb6 0.3109 0.4960 0.5890
Pb7 0.3209 0.2286 0.3330
Pb8 0.3209 0.2714 0.8330
Pb9 0.6791 0.7286 0.1670
Pb10 0.6791 0.7714 0.6670
Pb11 0.6891 0.5040 0.4110
Pb12 0.6891 0.9960 0.9110
Pb13 0.7208 0.5163 0.8852
Pb14 0.7208 0.9837 0.3852
Pb15 0.9600 0.2076 0.1510
Pb16 0.9600 0.2924 0.6510
O1 0.0263 0.5081 0.1112
O2 0.0263 0.9919 0.6112
O3 0.0629 0.2166 0.8123
O4 0.0629 0.2834 0.3123
O5 0.0790 0.6754 0.5629
O6 0.0790 0.8246 0.0629
O7 0.1807 0.2125 0.4760
O8 0.1807 0.2875 0.9760
O9 0.2259 0.2108 0.1756
O10 0.2259 0.2892 0.6756
O11 0.2624 0.6024 0.8409
O12 0.2624 0.8976 0.3409
O13 0.2949 0.5790 0.2844
O14 0.2949 0.9210 0.7844
O15 0.4273 0.6510 0.7321
O16 0.4273 0.8490 0.2321
O17 0.4963 0.2395 0.1016
O18 0.4963 0.2605 0.6016
O19 0.5037 0.7395 0.3984
O20 0.5037 0.7605 0.8984
O21 0.5727 0.1510 0.7679
O22 0.5727 0.3490 0.2679
O23 0.7051 0.0790 0.2156
O24 0.7051 0.4210 0.7156
O25 0.7376 0.1024 0.6591
O26 0.7376 0.3976 0.1591
O27 0.7741 0.7108 0.3244
O28 0.7741 0.7892 0.8244
O29 0.8193 0.7125 0.0240
O30 0.8193 0.7875 0.5240
O31 0.9210 0.1754 0.9371
O32 0.9210 0.3246 0.4371
O33 0.9371 0.7166 0.6877
O34 0.9371 0.7834 0.1877
O35 0.9737 0.0081 0.3888
O36 0.9737 0.4919 0.8888

Results
E_form   -2223 meV/atom
SG   No. 14
V   17.0 Å³ per atom

***

(3)
Below is a geometry-optimized Zn9Si2Te3P4Pb9O42 structure, with properties calculated at the GGA-PBE level.

Lattice parameters (Å, degrees): 10.0511 10.0511 15.7314 121.37 121.37 50.39
Element x y z (fractional)
Zn1 0.0000 0.0000 0.0000
Zn2 0.2469 0.0007 0.7493
Zn3 0.3319 0.0850 0.5825
Zn4 0.3349 0.3334 0.3342
Zn5 0.5826 0.3352 0.0846
Zn6 0.6648 0.4174 0.9154
Zn7 0.6666 0.6651 0.6658
Zn8 0.9150 0.6681 0.4175
Zn9 0.9993 0.7531 0.2507
Si1 0.6536 0.1551 0.2373
Si2 0.8449 0.3464 0.7627
Te1 0.2492 0.7508 0.5000
Te2 0.5824 0.0841 0.8334
Te3 0.9159 0.4176 0.1666
P1 0.1788 0.6801 0.0961
P2 0.3199 0.8212 0.9039
P3 0.5117 0.0139 0.4292
P4 0.9861 0.4883 0.5708
Pb1 0.0423 0.1495 0.3001
Pb2 0.1765 0.4862 0.8338
Pb3 0.1847 0.2836 0.0320
Pb4 0.3923 0.4796 0.6364
Pb5 0.5138 0.8235 0.1662
Pb6 0.5204 0.6076 0.3636
Pb7 0.7164 0.8153 0.9680
Pb8 0.8450 0.1550 0.5000
Pb9 0.8505 0.9577 0.6999
O1 0.0172 0.5956 0.5446
O2 0.0377 0.7893 0.0139
O3 0.0720 0.6470 0.1215
O4 0.1618 0.3533 0.1958
O5 0.1652 0.0063 0.5387
O6 0.1762 0.3545 0.6279
O7 0.2107 0.9623 0.9861
O8 0.2226 0.7237 0.8067
O9 0.2312 0.6988 0.3576
O10 0.2763 0.7774 0.1933
O11 0.3012 0.7688 0.6424
O12 0.3098 0.5068 0.4710
O13 0.3116 0.4900 0.0380
O14 0.3272 0.1672 0.7943
O15 0.3530 0.9280 0.8785
O16 0.3724 0.1217 0.3467
O17 0.4044 0.9828 0.4554
O18 0.4932 0.6902 0.5290
O19 0.4973 0.3404 0.8746
O20 0.5100 0.6884 0.9620
O21 0.5398 0.3024 0.3241
O22 0.5484 0.0505 0.1325
O23 0.5628 0.0346 0.6911
O24 0.6097 0.1112 0.5269
O25 0.6321 0.1027 0.9758
O26 0.6455 0.8238 0.3721
O27 0.6467 0.8382 0.8042
O28 0.6596 0.5027 0.1254
O29 0.6882 0.2683 0.2113
O30 0.6976 0.4602 0.6759
O31 0.7317 0.3118 0.7887
O32 0.8275 0.0208 0.8630
O33 0.8328 0.6728 0.2057
O34 0.8531 0.0152 0.2975
O35 0.8783 0.6276 0.6533
O36 0.8888 0.3903 0.4731
O37 0.8973 0.3679 0.0242
O38 0.9495 0.4516 0.8675
O39 0.9654 0.4372 0.3089
O40 0.9792 0.1725 0.1370
O41 0.9848 0.1469 0.7025
O42 0.9937 0.8348 0.4613

Results
E_form   -2048 meV/atom
SG   No. 5
V   14.5 Å³ per atom
M_tot   2.0 μB/f.u.

***

(4)
Below is a geometry-optimized SnP2PbO8 structure, with properties calculated at the GGA-PBE level.

Lattice parameters (Å, degrees): 4.9307 15.0731 10.0187 90.00 116.78 90.00
Element x y z (fractional)
Sn1 0.1861 0.1415 0.4498
Sn2 0.1861 0.3585 0.9498
Sn3 0.8139 0.6415 0.0502
Sn4 0.8139 0.8585 0.5502
P1 0.1719 0.7374 0.3905
P2 0.1719 0.7626 0.8905
P3 0.4473 0.5235 0.2035
P4 0.4473 0.9765 0.7035
P5 0.5527 0.0235 0.2965
P6 0.5527 0.4765 0.7965
P7 0.8281 0.2374 0.1095
P8 0.8281 0.2626 0.6095
Pb1 0.1250 0.1006 0.9108
Pb2 0.1250 0.3994 0.4108
Pb3 0.8750 0.6006 0.5892
Pb4 0.8750 0.8994 0.0892
O1 0.0175 0.6788 0.9167
O2 0.0175 0.8212 0.4167
O3 0.0649 0.7341 0.2171
O4 0.0649 0.7659 0.7171
O5 0.1057 0.5392 0.1623
O6 0.1057 0.9608 0.6623
O7 0.1095 0.6517 0.4507
O8 0.1095 0.8483 0.9507
O9 0.3715 0.0046 0.1272
O10 0.3715 0.4954 0.6272
O11 0.4321 0.1073 0.3392
O12 0.4321 0.3927 0.8392
O13 0.4733 0.2495 0.0355
O14 0.4733 0.2505 0.5355
O15 0.4774 0.0621 0.6242
O16 0.4774 0.4379 0.1242
O17 0.5226 0.5621 0.8758
O18 0.5226 0.9379 0.3758
O19 0.5267 0.7495 0.4645
O20 0.5267 0.7505 0.9645
O21 0.5679 0.6073 0.1608
O22 0.5679 0.8927 0.6608
O23 0.6285 0.5046 0.3728
O24 0.6285 0.9954 0.8728
O25 0.8905 0.1517 0.0493
O26 0.8905 0.3483 0.5493
O27 0.8943 0.0392 0.3377
O28 0.8943 0.4608 0.8377
O29 0.9351 0.2341 0.2829
O30 0.9351 0.2659 0.7829
O31 0.9825 0.1788 0.5833
O32 0.9825 0.3212 0.0833

Results
E_form   -2450 meV/atom
SG   No. 14
V   13.8 Å³ per atom
M_tot   0.0 μB/f.u.